# 1
Computed, not measured: an optimized crystal structure of CsMg6C at the PBE level of DFT.

Computed properties:
* energy relative to the elements: 0.39 eV per atom
* space group: Amm2
* crystal system: orthorhombic
* total DFT energy (no corrections): -0.153 Ry per atom

a b c (Å): 8.414 8.414 3.377
angles (deg): 90.00 90.00 120.56
Element x y z (fractional)
Cs 0.160 0.840 0.000
Mg 0.203 0.452 0.000
Mg 0.548 0.797 0.000
Mg 0.707 0.293 0.000
Mg 0.371 0.299 0.500
Mg 0.701 0.629 0.500
Mg 0.905 0.095 0.500
C 0.405 0.595 0.500

# 2
Computed, not measured: an optimized crystal structure of Y3Mg at the PBE level of DFT.

Computed properties:
* energy relative to the elements: 0.05 eV per atom
* space group: P-6m2
* crystal system: hexagonal
* total DFT energy (no corrections): -0.382 Ry per atom

a b c (Å): 3.536 3.536 11.471
angles (deg): 90.00 90.00 120.00
Element x y z (fractional)
Y 0.000 0.000 0.500
Y 0.333 0.667 0.249
Y 0.333 0.667 0.751
Mg 0.000 0.000 0.000

# 3
Computed, not measured: an optimized crystal structure of ReRuCl2 at the PBE level of DFT.

Computed properties:
* energy relative to the elements: 1.03 eV per atom
* space group: Fm-3m
* crystal system: cubic
* total DFT energy (no corrections): -0.368 Ry per atom

a b c (Å): 4.343 4.343 4.343
angles (deg): 60.00 60.00 60.00
Element x y z (fractional)
Re 0.000 0.000 0.000
Ru 0.500 0.500 0.500
Cl 0.250 0.250 0.250
Cl 0.750 0.750 0.750

# 4
Computed, not measured: an optimized crystal structure of H8AuC2S2BrN4 at the PBE level of DFT.

Computed properties:
* energy relative to the elements: -0.40 eV per atom
* space group: C2/c
* crystal system: monoclinic
* total DFT energy (no corrections): -0.395 Ry per atom

a b c (Å): 9.325 9.325 6.959
angles (deg): 84.36 84.36 122.15
Element x y z (fractional)
H 0.727 0.695 0.233
H 0.305 0.273 0.267
H 0.273 0.305 0.767
H 0.695 0.727 0.733
H 0.684 0.528 0.419
H 0.472 0.316 0.081
H 0.316 0.472 0.581
H 0.528 0.684 0.919
H 0.043 0.516 0.236
H 0.484 0.957 0.264
H 0.957 0.484 0.764
H 0.516 0.043 0.736
H 0.847 0.413 0.400
H 0.587 0.153 0.100
H 0.153 0.587 0.600
H 0.413 0.847 0.900
Au 0.000 0.000 0.000
Au 0.000 0.000 0.500
C 0.898 0.621 0.208
C 0.379 0.102 0.292
C 0.102 0.379 0.792
C 0.621 0.898 0.708
S 0.041 0.774 0.008
S 0.226 0.959 0.492
S 0.959 0.226 0.992
S 0.774 0.041 0.508
Br 0.373 0.627 0.250
Br 0.627 0.373 0.750
N 0.756 0.610 0.288
N 0.390 0.244 0.212
N 0.244 0.390 0.712
N 0.610 0.756 0.788
N 0.928 0.503 0.280
N 0.497 0.072 0.220
N 0.072 0.497 0.720
N 0.503 0.928 0.780

Please write out number 2 again, unchanged.
Computed, not measured: an optimized crystal structure of Y3Mg at the PBE level of DFT.

Computed properties:
* energy relative to the elements: 0.05 eV per atom
* space group: P-6m2
* crystal system: hexagonal
* total DFT energy (no corrections): -0.382 Ry per atom

a b c (Å): 3.536 3.536 11.471
angles (deg): 90.00 90.00 120.00
Element x y z (fractional)
Y 0.000 0.000 0.500
Y 0.333 0.667 0.249
Y 0.333 0.667 0.751
Mg 0.000 0.000 0.000